Entry 1:
4
Lattice="-2.8222 -1.4726 4.4713 -1.2270 3.7394 3.8260 -5.1895 1.6680 0.6426" Properties=species:S:1:pos:R:3 comment="PmPrIn2, relaxed, DFT GGA-PBE" e_tot_ev_per_atom=-4.240 vol_a3_per_cell=116.9 e_form_ev_per_atom=-0.481 pbc="T T T"
Pm -4.6194 1.9674 4.4700
Pr 0.0000 0.0000 0.0000
In -2.3097 0.9837 2.2350
In -6.9291 2.9511 6.7050

Entry 2:
81
Lattice="7.8727 0.0000 0.0000 0.0000 9.1739 0.0000 0.0000 0.0000 15.8822" Properties=species:S:1:pos:R:3 comment="K6Ba3Ta12Si8O52, relaxed, DFT GGA-PBE" e_tot_ev_per_atom=-8.471 vol_a3_per_cell=1147.1 e_form_ev_per_atom=-3.290 pbc="T T T"
K 3.9364 8.3058 7.9411
K 0.0000 8.1368 7.9411
K 0.0000 7.3696 3.1057
K 0.0000 7.3696 12.7764
K 3.9364 7.3138 3.2220
K 3.9364 7.3138 12.6602
Ba 3.9364 2.7676 11.0981
Ba 3.9364 2.7676 4.7841
Ba 3.9364 3.6503 0.0000
Ta 5.9048 6.9654 0.0000
Ta 1.9387 2.4285 7.9411
Ta 5.9340 2.4285 7.9411
Ta 1.9514 1.0741 14.0049
Ta 5.9214 1.0741 14.0049
Ta 1.9514 1.0741 1.8773
Ta 1.9679 6.9654 0.0000
Ta 1.9574 5.6924 6.0404
Ta 5.9153 5.6924 9.8418
Ta 5.9153 5.6924 6.0404
Ta 1.9574 5.6924 9.8418
Ta 5.9214 1.0741 1.8773
Si 6.2515 4.5490 13.2423
Si 1.6212 4.5490 13.2423
Si 6.2338 0.0404 10.5942
Si 6.2338 0.0404 5.2880
Si 1.6389 0.0404 10.5942
Si 1.6389 0.0404 5.2880
Si 6.2515 4.5490 2.6399
Si 1.6212 4.5490 2.6399
O 5.9952 8.3546 14.4852
O 2.1612 5.5238 14.4406
O 5.7115 5.5238 14.4406
O 5.7177 5.1235 11.8102
O 2.1550 5.1235 11.8102
O 0.0000 4.5717 13.2495
O 1.8836 3.7951 9.3359
O 5.9891 3.7951 9.3359
O 5.9891 3.7951 6.5463
O 2.2290 3.0581 13.4744
O 5.6437 3.0581 13.4744
O 3.9364 2.4806 7.9411
O 0.0000 2.0841 7.9411
O 5.9929 1.6201 0.0000
O 0.0000 1.1731 13.7449
O 0.0000 1.1731 2.1373
O 3.9364 1.0884 14.0674
O 3.9364 1.0884 1.8148
O 2.1935 0.9822 9.3938
O 2.1935 0.9822 6.4884
O 5.6792 0.9822 9.3938
O 5.6792 0.9822 6.4884
O 2.1960 0.5900 12.0214
O 5.6767 0.5900 12.0214
O 5.6767 0.5900 3.8608
O 2.1960 0.5900 3.8608
O 0.0000 0.0274 10.5989
O 0.0000 0.0274 5.2833
O 1.8775 8.3546 14.4852
O 1.8775 8.3546 1.3970
O 5.9952 8.3546 1.3970
O 2.1174 7.6684 10.3703
O 5.7553 7.6684 10.3703
O 2.1174 7.6684 5.5119
O 5.7553 7.6684 5.5119
O 3.9364 6.9966 0.0000
O 0.0000 6.7476 0.0000
O 1.8791 6.1938 7.9411
O 5.9936 6.1938 7.9411
O 0.0000 5.8676 10.0661
O 0.0000 5.8676 5.8161
O 3.9364 5.6384 9.8326
O 3.9364 5.6384 6.0495
O 2.1612 5.5238 1.4415
O 5.7115 5.5238 1.4415
O 2.1550 5.1235 4.0719
O 5.7177 5.1235 4.0719
O 0.0000 4.5717 2.6326
O 1.8836 3.7951 6.5463
O 2.2290 3.0581 2.4078
O 5.6437 3.0581 2.4078
O 1.8799 1.6201 0.0000

Entry 3:
8
Lattice="-0.9048 3.0375 2.0747 -3.0363 -3.1584 3.3000 7.3223 -2.3500 6.6338" Properties=species:S:1:pos:R:3 comment="ZrSe3, relaxed, DFT GGA-PBE" e_tot_ev_per_atom=-5.807 vol_a3_per_cell=209.3 e_form_ev_per_atom=-1.402 pbc="T T T"
Zr 1.8950 -1.5030 8.2142
Zr 1.4862 -0.9679 3.7943
Se 3.0007 -3.9666 8.8450
Se 0.3805 1.4956 3.1636
Se 4.3122 -2.5962 7.4106
Se -0.9310 0.1253 4.5979
Se 0.7461 -2.7027 6.0114
Se 2.6351 0.2318 5.9971

Entry 4:
10
Lattice="0.0000 -0.7031 -3.3065 -4.8309 3.6242 0.0000 4.8309 3.6242 0.0000" Properties=species:S:1:pos:R:3 comment="LiC2O2, relaxed, DFT GGA-PBE" e_tot_ev_per_atom=-7.130 vol_a3_per_cell=115.8 e_form_ev_per_atom=-1.352 pbc="T T T"
Li -1.4230 3.6242 0.0000
Li 1.4230 3.6242 0.0000
C -3.7891 3.2727 -1.6533
C 0.0000 6.0071 -1.1084
C 3.7891 3.2727 -1.6533
C 0.0000 0.5383 -2.1981
O 0.0000 1.6154 -2.8524
O 2.5223 3.2727 -1.6533
O -2.5223 3.2727 -1.6533
O 0.0000 4.9300 -0.4542

Entry 5:
10
Lattice="-8.8416 -5.2863 0.9073 -2.1206 -2.0816 4.2019 3.0085 5.0910 0.0463" Properties=species:S:1:pos:R:3 comment="Al2O3, relaxed, DFT GGA-PBE" e_tot_ev_per_atom=-7.385 vol_a3_per_cell=118.5 e_form_ev_per_atom=-3.331 pbc="T T T"
Al 1.2773 3.2424 1.1555
Al -9.2308 -5.5192 3.9999
Al -3.3147 -1.9826 3.3954
Al -4.6388 -0.2943 1.7601
O -0.8840 1.4295 3.4847
O -0.6506 -0.3116 1.0931
O -4.5224 -0.6943 3.6059
O -7.0696 -3.7064 1.6707
O -7.3030 -1.9652 4.0623
O -3.4312 -1.5825 1.5495

Entry 6:
9
Lattice="0.4958 -2.0714 3.5062 -1.6383 3.1389 2.0861 -10.1794 -3.3565 -2.9435" Properties=species:S:1:pos:R:3 comment="Dy2Ge6Pt, relaxed, DFT GGA-PBE" e_tot_ev_per_atom=-5.314 vol_a3_per_cell=184.2 e_form_ev_per_atom=-0.534 pbc="T T T"
Dy -6.1060 -1.9140 2.1327
Dy -3.1167 0.5534 0.7677
Ge -10.6183 -2.7643 -0.1315
Ge -8.3482 -1.7603 0.1406
Ge -9.5440 -5.3662 0.5794
Ge -7.2678 -4.3596 0.8523
Ge -3.1289 -2.5291 1.3483
Ge -4.7577 -2.1041 -0.5703
Pt -0.9319 -1.5575 1.6117

Entry 7:
72
Lattice="-3.3685 -1.4328 -9.8795 8.7015 -5.5320 -2.1645 -4.8930 -8.8514 2.9520" Properties=species:S:1:pos:R:3 comment="SiO2, relaxed, DFT GGA-PBE" e_tot_ev_per_atom=-7.888 vol_a3_per_cell=1169.5 e_form_ev_per_atom=-3.239 pbc="T T T"
Si -4.4901 -8.1408 0.2366
Si 4.2071 -7.9836 -6.4464
Si -0.0382 -11.2657 -4.5230
Si 1.4523 -5.9376 -2.1090
Si -1.4970 -5.7932 -9.3333
Si -1.1982 -2.8760 -8.7626
Si -3.7671 -7.8327 -2.6456
Si 0.4782 -4.5505 -4.5691
Si -1.4798 -5.7158 -2.6368
Si -3.4089 -10.4704 -1.2895
Si -5.7423 -9.0753 -7.4099
Si -0.3396 -10.9920 -1.4330
Si -5.1628 -7.0274 -5.3134
Si 4.9301 -7.6754 -9.3287
Si 0.7796 -4.8242 -7.6590
Si -1.0123 -9.8786 -6.9830
Si 1.9198 -10.1005 -6.4552
Si -3.1273 -7.6306 -7.4153
Si 6.1823 -6.7409 -1.6822
Si 1.6382 -12.9402 -0.3295
Si 3.5673 -8.1856 -1.6768
Si 3.8489 -5.3458 -7.8025
Si 5.6028 -8.7888 -3.7787
Si 1.9369 -10.0230 0.2413
O -3.4966 -7.4402 1.3179
O 4.8195 -8.4543 -7.8924
O 3.8589 -6.3858 -6.5354
O 0.6984 -5.1367 -6.0644
O 3.1428 -9.2479 -0.5281
O -4.2744 -8.6475 -7.9965
O 1.4441 -10.8317 -5.0672
O 4.5007 -6.1106 -9.0957
O 0.1622 -3.3393 -7.9774
O -1.0041 -4.9845 -4.0248
O -6.0815 -8.1105 -6.1287
O 2.0650 -4.9950 -0.9330
O -1.6250 -10.8213 -8.1590
O -0.1403 -6.2170 -1.8390
O 2.8538 -8.8214 -6.1094
O 2.7522 -11.1449 -7.3842
O 2.2572 -7.3443 -2.1487
O 2.2995 -11.6146 0.3725
O -0.1019 -5.9310 -8.4836
O 4.1982 -8.9882 -2.9573
O 6.5215 -7.7057 -2.9634
O 0.5418 -9.8852 -0.6085
O 0.2777 -12.4769 -1.1146
O -0.2584 -10.6795 -3.0276
O -4.3795 -7.3619 -1.1997
O -5.7142 -10.6349 -6.9474
O -4.8632 -7.5820 -3.8135
O -4.0607 -9.7057 0.0036
O 5.3032 -8.2342 -5.2785
O -1.8172 -8.4719 -6.9433
O -2.7028 -6.5683 -8.5639
O -2.3122 -4.6713 -1.7078
O 0.5803 -9.5992 -7.2530
O -0.1576 -12.8880 -4.4928
O 2.3246 -4.8919 -8.1453
O 3.9366 -8.3760 -10.4099
O 2.6848 -13.5973 -1.3877
O -2.4138 -6.9949 -2.9827
O 4.7144 -7.1688 -1.0956
O -3.7582 -6.8280 -6.1348
O 6.1542 -5.1813 -2.1446
O -2.2448 -2.2190 -7.7044
O -1.8595 -4.2016 -9.4646
O -3.4189 -9.4304 -2.5567
O -1.8846 -10.9243 -0.9468
O 0.5976 -2.9283 -4.5992
O 1.6002 -5.1824 -3.5546
O -1.1602 -10.6338 -5.5375

Entry 8:
4
Lattice="2.2165 -0.5919 4.3165 1.7061 3.8865 2.4248 -2.2049 1.4820 4.1034" Properties=species:S:1:pos:R:3 comment="Sc2ZnHg, relaxed, DFT GGA-PBE" de_polymorph_ev_per_atom=0.000 e_tot_ev_per_atom=-3.948 vol_a3_per_cell=82.6 e_form_ev_per_atom=-0.390 pbc="T T T"
Sc 0.4294 1.1941 2.7112
Sc 1.2883 3.5824 8.1335
Zn 0.0000 0.0000 0.0000
Hg 0.8589 2.3883 5.4223